(1)
Li2Mn2Si3O9 GGA+U relaxed; space-group type = Pnma, No. 62; uncorrected energy = -0.540 Ry/atom
1.0
12.459 0.000 0.000
0.000 9.731 0.000
0.000 0.000 6.356
Li Mn Si O
8 8 12 36
direct
0.086 0.058 0.140
0.086 0.442 0.140
0.414 0.558 0.640
0.414 0.942 0.640
0.586 0.058 0.360
0.586 0.442 0.360
0.914 0.558 0.860
0.914 0.942 0.860
0.156 0.505 0.692
0.156 0.995 0.692
0.344 0.005 0.192
0.344 0.495 0.192
0.656 0.505 0.808
0.656 0.995 0.808
0.844 0.005 0.308
0.844 0.495 0.308
0.033 0.250 0.522
0.077 0.750 0.043
0.217 0.750 0.427
0.283 0.250 0.927
0.423 0.250 0.543
0.467 0.750 0.022
0.533 0.250 0.978
0.577 0.750 0.457
0.717 0.750 0.073
0.783 0.250 0.573
0.923 0.250 0.957
0.967 0.750 0.478
0.025 0.250 0.785
0.067 0.605 0.921
0.067 0.895 0.921
0.091 0.109 0.447
0.091 0.391 0.447
0.098 0.750 0.545
0.193 0.750 0.172
0.224 0.106 0.990
0.224 0.394 0.990
0.276 0.606 0.490
0.276 0.894 0.490
0.307 0.250 0.672
0.402 0.250 0.045
0.409 0.609 0.947
0.409 0.891 0.947
0.433 0.105 0.421
0.433 0.395 0.421
0.475 0.750 0.285
0.525 0.250 0.715
0.567 0.605 0.579
0.567 0.895 0.579
0.591 0.109 0.053
0.591 0.391 0.053
0.598 0.750 0.955
0.693 0.750 0.328
0.724 0.106 0.510
0.724 0.394 0.510
0.776 0.606 0.010
0.776 0.894 0.010
0.807 0.250 0.828
0.902 0.250 0.455
0.909 0.609 0.553
0.909 0.891 0.553
0.933 0.105 0.079
0.933 0.395 0.079
0.975 0.750 0.215

=====

(2)
Li3V3P8O29 GGA+U relaxed; space-group type = P1, No. 1; uncorrected energy = -0.519 Ry/atom
1.0
9.708 0.000 0.000
-4.821 8.456 0.000
-0.021 -0.169 14.275
Li V P O
6 6 16 58
direct
0.000 0.000 0.000
0.004 0.560 0.510
0.586 0.139 0.002
0.815 0.905 0.399
0.906 0.225 0.464
0.937 0.282 0.944
0.344 0.664 0.196
0.345 0.228 0.692
0.469 0.228 0.208
0.470 0.792 0.701
0.906 0.662 0.705
0.909 0.790 0.196
0.001 0.011 0.788
0.124 0.143 0.295
0.131 0.533 0.793
0.211 0.448 0.609
0.214 0.310 0.111
0.237 0.889 0.582
0.244 0.899 0.083
0.571 0.560 0.816
0.578 0.568 0.315
0.598 0.143 0.790
0.602 0.004 0.291
0.684 0.921 0.106
0.694 0.312 0.608
0.816 0.914 0.610
0.818 0.442 0.111
0.999 0.543 0.291
0.000 0.702 0.271
0.088 0.739 0.622
0.093 0.902 0.123
0.104 0.216 0.381
0.106 0.432 0.528
0.108 0.231 0.204
0.110 0.441 0.879
0.111 0.424 0.703
0.118 0.224 0.028
0.170 0.574 0.277
0.172 0.149 0.777
0.238 0.883 0.478
0.239 0.040 0.625
0.242 0.751 0.127
0.245 0.906 0.979
0.253 0.486 0.116
0.254 0.314 0.612
0.287 0.147 0.281
0.291 0.688 0.782
0.365 0.609 0.620
0.370 0.307 0.127
0.382 0.889 0.631
0.393 0.044 0.128
0.430 0.563 0.268
0.431 0.413 0.766
0.442 0.145 0.773
0.446 0.845 0.277
0.526 0.764 0.120
0.529 0.303 0.617
0.563 0.969 0.780
0.564 0.141 0.284
0.571 0.706 0.771
0.574 0.558 0.919
0.578 0.417 0.274
0.589 0.583 0.418
0.643 0.307 0.116
0.643 0.879 0.619
0.679 0.214 0.881
0.690 0.017 0.024
0.700 0.017 0.374
0.709 0.025 0.200
0.714 0.237 0.705
0.722 0.234 0.527
0.725 0.564 0.772
0.726 0.716 0.269
0.822 0.760 0.624
0.824 0.606 0.123
0.825 0.886 0.108
0.826 0.490 0.614
0.888 0.998 0.521
0.897 0.425 0.208
0.901 0.427 0.029
0.907 0.027 0.700
0.928 0.020 0.878
0.931 0.476 0.384
0.988 0.967 0.283
0.996 0.575 0.781
0.999 0.851 0.775

=====

(3)
ZnW3O7 GGA+U relaxed; space-group type = Pnma, No. 62; uncorrected energy = -0.506 Ry/atom
1.0
7.896 0.000 0.000
0.000 11.434 0.000
0.000 0.000 6.564
Zn W O
4 12 28
direct
0.007 0.250 0.114
0.493 0.750 0.614
0.507 0.250 0.386
0.993 0.750 0.886
0.237 0.531 0.755
0.237 0.969 0.755
0.238 0.750 0.253
0.262 0.250 0.753
0.263 0.031 0.255
0.263 0.469 0.255
0.737 0.531 0.745
0.737 0.969 0.745
0.738 0.750 0.247
0.762 0.250 0.747
0.763 0.031 0.245
0.763 0.469 0.245
0.009 0.092 0.230
0.009 0.408 0.230
0.011 0.250 0.814
0.228 0.607 0.454
0.228 0.893 0.454
0.248 0.109 0.553
0.248 0.391 0.553
0.252 0.609 0.053
0.252 0.891 0.053
0.272 0.107 0.954
0.272 0.393 0.954
0.489 0.750 0.314
0.491 0.592 0.730
0.491 0.908 0.730
0.509 0.092 0.270
0.509 0.408 0.270
0.511 0.250 0.686
0.728 0.607 0.046
0.728 0.893 0.046
0.748 0.109 0.947
0.748 0.391 0.947
0.752 0.609 0.447
0.752 0.891 0.447
0.772 0.107 0.546
0.772 0.393 0.546
0.989 0.750 0.186
0.991 0.592 0.770
0.991 0.908 0.770

=====

(4)
Na3Fe2P2O8F3 GGA+U relaxed; space-group type = Pbam, No. 55; uncorrected energy = -0.457 Ry/atom
1.0
12.938 0.000 0.000
0.000 12.955 0.000
0.000 0.000 10.756
Na Fe P O F
24 16 16 64 24
direct
0.096 0.127 0.000
0.117 0.651 0.000
0.122 0.089 0.500
0.128 0.367 0.000
0.129 0.619 0.500
0.163 0.376 0.500
0.337 0.876 0.500
0.371 0.119 0.500
0.372 0.867 0.000
0.378 0.589 0.500
0.383 0.151 0.000
0.404 0.627 0.000
0.596 0.373 0.000
0.617 0.849 0.000
0.622 0.411 0.500
0.628 0.133 0.000
0.629 0.881 0.500
0.663 0.124 0.500
0.837 0.624 0.500
0.871 0.381 0.500
0.872 0.633 0.000
0.878 0.911 0.500
0.883 0.349 0.000
0.904 0.873 0.000
0.001 0.248 0.311
0.001 0.248 0.689
0.248 0.003 0.190
0.248 0.003 0.810
0.252 0.503 0.190
0.252 0.503 0.810
0.499 0.748 0.311
0.499 0.748 0.689
0.501 0.252 0.311
0.501 0.252 0.689
0.748 0.497 0.190
0.748 0.497 0.810
0.752 0.997 0.190
0.752 0.997 0.810
0.999 0.752 0.311
0.999 0.752 0.689
0.000 0.000 0.251
0.000 0.000 0.749
0.000 0.500 0.251
0.000 0.500 0.749
0.249 0.248 0.250
0.249 0.248 0.750
0.251 0.748 0.250
0.251 0.748 0.750
0.500 0.000 0.251
0.500 0.000 0.749
0.500 0.500 0.251
0.500 0.500 0.749
0.749 0.252 0.250
0.749 0.252 0.750
0.751 0.752 0.250
0.751 0.752 0.750
0.006 0.904 0.337
0.006 0.904 0.663
0.011 0.405 0.338
0.011 0.405 0.662
0.095 0.510 0.163
0.095 0.510 0.837
0.096 0.006 0.166
0.096 0.006 0.834
0.152 0.740 0.330
0.152 0.740 0.670
0.157 0.241 0.342
0.157 0.241 0.658
0.244 0.350 0.176
0.244 0.350 0.824
0.245 0.159 0.154
0.245 0.159 0.846
0.255 0.659 0.154
0.255 0.659 0.846
0.256 0.850 0.176
0.256 0.850 0.824
0.343 0.741 0.342
0.343 0.741 0.658
0.348 0.240 0.330
0.348 0.240 0.670
0.404 0.506 0.166
0.404 0.506 0.834
0.405 0.010 0.163
0.405 0.010 0.837
0.489 0.905 0.338
0.489 0.905 0.662
0.494 0.404 0.337
0.494 0.404 0.663
0.506 0.596 0.337
0.506 0.596 0.663
0.511 0.095 0.338
0.511 0.095 0.662
0.595 0.990 0.163
0.595 0.990 0.837
0.596 0.494 0.166
0.596 0.494 0.834
0.652 0.760 0.330
0.652 0.760 0.670
0.657 0.259 0.342
0.657 0.259 0.658
0.744 0.150 0.176
0.744 0.150 0.824
0.745 0.341 0.154
0.745 0.341 0.846
0.755 0.841 0.154
0.755 0.841 0.846
0.756 0.650 0.176
0.756 0.650 0.824
0.843 0.759 0.342
0.843 0.759 0.658
0.848 0.260 0.330
0.848 0.260 0.670
0.904 0.994 0.166
0.904 0.994 0.834
0.905 0.490 0.163
0.905 0.490 0.837
0.989 0.595 0.338
0.989 0.595 0.662
0.994 0.096 0.337
0.994 0.096 0.663
0.002 0.253 0.500
0.011 0.257 0.131
0.011 0.257 0.869
0.243 0.512 0.370
0.243 0.512 0.630
0.247 0.501 0.000
0.253 0.001 0.000
0.257 0.012 0.370
0.257 0.012 0.630
0.489 0.757 0.131
0.489 0.757 0.869
0.498 0.753 0.500
0.502 0.247 0.500
0.511 0.243 0.131
0.511 0.243 0.869
0.743 0.988 0.370
0.743 0.988 0.630
0.747 0.999 0.000
0.753 0.499 0.000
0.757 0.488 0.370
0.757 0.488 0.630
0.989 0.743 0.131
0.989 0.743 0.869
0.998 0.747 0.500

=====

(5)
Sr2LiZrCrO6 GGA+U relaxed; space-group type = Cm, No. 8; uncorrected energy = -0.529 Ry/atom
1.0
4.927 -2.844 0.000
4.927 2.844 0.000
-3.281 0.000 5.136
Sr Li Zr Cr O
2 1 1 1 6
direct
0.000 0.000 0.000
0.531 0.531 0.593
0.164 0.164 0.491
0.790 0.790 0.370
0.308 0.308 0.925
0.054 0.054 0.656
0.055 0.547 0.657
0.063 0.544 0.153
0.544 0.063 0.153
0.545 0.545 0.155
0.547 0.055 0.657

=====

(6)
Li9V12Te7O48 GGA+U relaxed; space-group type = P1, No. 1; uncorrected energy = -0.476 Ry/atom
1.0
5.410 0.000 0.000
-0.188 10.587 0.000
-0.208 -0.341 18.186
Li V Te O
9 12 7 48
direct
0.000 0.000 0.000
0.001 0.156 0.512
0.018 0.851 0.835
0.169 0.329 0.802
0.323 0.824 0.288
0.472 0.310 0.263
0.500 0.648 0.587
0.531 0.821 0.749
0.961 0.321 0.343
0.007 0.825 0.490
0.014 0.317 0.985
0.015 0.548 0.208
0.447 0.616 0.884
0.472 0.045 0.888
0.478 0.324 0.606
0.496 0.547 0.388
0.534 0.108 0.395
0.584 0.849 0.108
0.967 0.608 0.701
0.986 0.053 0.702
0.987 0.094 0.204
0.017 0.508 0.520
0.474 0.010 0.573
0.488 0.514 0.085
0.497 0.132 0.071
0.672 0.322 0.791
0.820 0.830 0.308
0.982 0.669 0.005
0.062 0.960 0.259
0.065 0.829 0.393
0.087 0.685 0.256
0.148 0.701 0.756
0.149 0.575 0.615
0.157 0.703 0.914
0.163 0.081 0.617
0.164 0.963 0.753
0.184 0.180 0.010
0.195 0.457 0.009
0.199 0.973 0.907
0.209 0.327 0.552
0.254 0.172 0.180
0.278 0.830 0.542
0.297 0.471 0.172
0.322 0.456 0.331
0.322 0.573 0.475
0.344 0.962 0.074
0.350 0.071 0.478
0.351 0.199 0.345
0.378 0.689 0.081
0.385 0.473 0.844
0.428 0.317 0.703
0.431 0.190 0.837
0.550 0.699 0.349
0.569 0.829 0.200
0.586 0.959 0.345
0.628 0.699 0.830
0.647 0.079 0.976
0.651 0.187 0.581
0.654 0.453 0.588
0.654 0.948 0.840
0.658 0.591 0.964
0.705 0.684 0.678
0.717 0.972 0.684
0.756 0.322 0.037
0.769 0.473 0.406
0.797 0.032 0.123
0.800 0.186 0.417
0.814 0.194 0.252
0.824 0.597 0.131
0.828 0.952 0.510
0.831 0.828 0.030
0.836 0.450 0.254
0.844 0.683 0.512
0.915 0.202 0.751
0.916 0.458 0.745
0.944 0.320 0.892